[1]
## CsMg14Cd (PBE)

Data for an optimized crystal structure of CsMg14Cd.

As for the polymorph energy (0 for the lowest one): 7 meV/atom. The value obtained for the calculated total energy is -1.3510 eV/atom. As for the energy of formation from the pure elements: 3.8 kcal/mol of atoms.

Cell and atoms, written as POSCAR:
```
CsMg14Cd
1.0
6.6083 0.0000 0.0000
-3.3041 5.7229 0.0000
0.0000 0.0000 10.7618
Cs Mg Cd
1 14 1
Cartesian
0.0000 1.9076 1.3452
-1.6230 4.7859 1.3452
-1.6770 4.7547 6.7262
3.3041 1.8741 1.3452
3.3041 1.9364 6.7262
1.6230 4.7859 1.3452
1.6770 4.7547 6.7262
1.7149 0.9175 4.2495
1.7149 0.9175 9.2028
0.0000 3.8879 4.2495
0.0000 3.8879 9.2028
4.8933 0.9175 4.2495
4.8933 0.9175 9.2028
3.3041 3.8153 4.0030
3.3041 3.8153 9.4493
0.0000 1.9076 6.7262
```

[2]
## LaAg5 (PBE)

Data for an optimized crystal structure of LaAg5.

The value obtained for the calculated total energy is -3.2579 eV/atom. As for the energy of formation from the pure elements: -1.7 kcal/mol of atoms.

Cell and atoms, written as POSCAR:
```
LaAg5
1.0
2.8325 -4.9061 0.0000
2.8325 4.9061 0.0000
0.0000 0.0000 9.2842
La Ag
2 10
Cartesian
2.8325 -1.6354 8.4513
2.8325 1.6354 0.8329
0.0000 0.0000 4.6421
0.0000 0.0000 0.0000
2.8325 -3.2363 2.4286
4.2190 -0.8349 2.4286
1.4460 -0.8349 2.4286
2.8325 3.2363 6.8555
1.4460 0.8349 6.8555
4.2190 0.8349 6.8555
2.8325 1.6354 4.1653
2.8325 -1.6354 5.1189
```